This record from Materials Project describes an optimized crystal structure of MgMnV2O6. The functional is PBE+U.

The structure in POSCAR format:
```
MgMnV2O6
1.0
4.805 -1.973 0.000
4.805 1.973 0.000
-2.952 0.000 6.034
Mg Mn V O
1 1 2 6
Direct
0.000 0.000 0.000
0.516 0.516 0.705
0.341 0.341 0.135
0.718 0.718 0.374
0.176 0.176 0.881
0.228 0.228 0.320
0.508 0.508 0.029
0.556 0.556 0.433
0.848 0.848 0.175
0.884 0.884 0.651
```

As for the energy above the most stable polymorph in this dataset: 0.0450 eV/atom. Its density is 4.02 g/cm3. The space group is No. 8.

---

This record from Materials Project describes an optimized crystal structure of MgMn2V4O12. The functional is PBE+U.

The structure in POSCAR format:
```
MgMn2V4O12
1.0
5.786 0.000 0.000
2.245 6.759 0.000
2.246 0.570 6.739
Mg Mn V O
1 2 4 12
Direct
0.000 0.000 0.000
0.000 0.354 0.645
0.500 0.177 0.823
0.050 0.867 0.548
0.445 0.646 0.942
0.556 0.056 0.355
0.950 0.454 0.132
0.009 0.642 0.645
0.088 0.271 0.945
0.112 0.666 0.050
0.381 0.882 0.417
0.410 0.894 0.857
0.420 0.227 0.531
0.580 0.469 0.773
0.592 0.142 0.107
0.619 0.584 0.117
0.888 0.949 0.337
0.913 0.056 0.729
0.991 0.359 0.357
```

Its density is 3.34 g/cm3. The space group is No. 1.

---

This record from Materials Project describes an optimized crystal structure of Mg6MnVO8. The functional is PBE+U.

The structure in POSCAR format:
```
Mg6MnVO8
1.0
4.328 0.000 0.000
0.000 4.328 0.000
0.000 0.000 8.617
Mg Mn V O
6 1 1 8
Direct
0.000 0.000 0.000
0.000 0.500 0.247
0.000 0.500 0.753
0.500 0.000 0.247
0.500 0.000 0.753
0.500 0.500 0.000
0.000 0.000 0.500
0.500 0.500 0.500
0.000 0.000 0.243
0.000 0.000 0.757
0.000 0.500 0.000
0.000 0.500 0.500
0.500 0.000 0.000
0.500 0.000 0.500
0.500 0.500 0.245
0.500 0.500 0.755
```

Its density is 3.91 g/cm3. The space group is No. 123.

---

This record from Materials Project describes an optimized crystal structure of MgMnV5O12. The functional is PBE+U.

The structure in POSCAR format:
```
MgMnV5O12
1.0
5.334 -4.463 0.000
5.334 4.463 0.000
-2.191 0.000 5.405
Mg Mn V O
1 1 5 12
Direct
0.000 0.000 0.000
0.799 0.201 0.500
0.111 0.468 0.007
0.335 0.083 0.491
0.532 0.889 0.993
0.638 0.362 0.000
0.917 0.665 0.509
0.033 0.686 0.837
0.082 0.630 0.323
0.096 0.205 0.471
0.314 0.967 0.163
0.359 0.378 0.033
0.370 0.918 0.677
0.522 0.248 0.614
0.622 0.641 0.967
0.724 0.070 0.088
0.752 0.478 0.386
0.795 0.904 0.529
0.930 0.276 0.912
```

As for the energy above the most stable polymorph in this dataset: 0.0493 eV/atom. Its density is 3.39 g/cm3. The space group is No. 5.

---

no.,energy of formation from the pure elements (eV/atom),calculated total energy (eV/cell)
1,-2.430,-73.7
2,-2.378,-142.4
3,-2.770,-102.9
4,-2.394,-142.6